1.
Material: Li2Ni2S3O12
Method: DFT, PBE+U
State: optimized geometry

Values from the calculation:
MP2020-corrected energy   -6.511 eV/atom
Energy relative to the lowest polymorph listed for this composition   0.0 kJ per mole of atoms
Energy of formation from the pure elements   -1924 meV per atom
ρ   3.03 g/cm3

abc: 8.5758 8.7551 12.2325
angles: 90.00 90.00 90.00
With the nearest neighbours (Å) after each atom.
Positions (direct):
Li (0.2172, 0.2771, 0.1826)  4 O 1.91-1.97
Li (0.7828, 0.7771, 0.1826)  4 O 1.91-1.97
Li (0.2828, 0.7771, 0.3174)  4 O 1.91-1.97
Li (0.7172, 0.2771, 0.3174)  4 O 1.91-1.97
Li (0.2828, 0.7229, 0.6826)  4 O 1.91-1.97
Li (0.7172, 0.2229, 0.6826)  4 O 1.91-1.97
Li (0.2172, 0.2229, 0.8174)  4 O 1.91-1.97
Li (0.7828, 0.7229, 0.8174)  4 O 1.91-1.97
Ni (0.2522, 0.9629, 0.1102)  6 O 2.01-2.22
Ni (0.7478, 0.4629, 0.1102)  6 O 2.01-2.22
Ni (0.7522, 0.9629, 0.3898)  6 O 2.01-2.22
Ni (0.2478, 0.4629, 0.3898)  6 O 2.01-2.22
Ni (0.2478, 0.0371, 0.6102)  6 O 2.01-2.22
Ni (0.7522, 0.5371, 0.6102)  6 O 2.01-2.22
Ni (0.2522, 0.5371, 0.8898)  6 O 2.01-2.22
Ni (0.7478, 0.0371, 0.8898)  6 O 2.01-2.22
S (0.4584, 0.2500, 0.0000)  4 O 1.46-1.50
S (0.5416, 0.7500, 0.0000)  4 O 1.46-1.50
S (0.1022, 0.6058, 0.1453)  4 O 1.46-1.50
S (0.8978, 0.1058, 0.1453)  4 O 1.46-1.50
S (0.3978, 0.1058, 0.3547)  4 O 1.46-1.50
S (0.6022, 0.6058, 0.3547)  4 O 1.46-1.50
S (0.0416, 0.7500, 0.5000)  4 O 1.46-1.50
S (0.9584, 0.2500, 0.5000)  4 O 1.46-1.50
S (0.3978, 0.3942, 0.6453)  4 O 1.46-1.50
S (0.6022, 0.8942, 0.6453)  4 O 1.46-1.50
S (0.1022, 0.8942, 0.8547)  4 O 1.46-1.50
S (0.8978, 0.3942, 0.8547)  4 O 1.46-1.50
O (0.1373, 0.5723, 0.0313)  1 S 1.46
O (0.8627, 0.0723, 0.0313)  1 S 1.46
O (0.5497, 0.3628, 0.0606)  1 S 1.46
O (0.4503, 0.8628, 0.0606)  1 S 1.46
O (0.3547, 0.1717, 0.0811)  1 S 1.50
O (0.6453, 0.6717, 0.0811)  1 S 1.50
O (0.0707, 0.1098, 0.1609)  1 S 1.50
O (0.9293, 0.6098, 0.1609)  1 S 1.50
O (0.1660, 0.7571, 0.1795)  1 S 1.49
O (0.8340, 0.2571, 0.1795)  1 S 1.49
O (0.8300, 0.9851, 0.2175)  1 S 1.49
O (0.1700, 0.4851, 0.2175)  1 S 1.49
O (0.3300, 0.9851, 0.2825)  1 S 1.49
O (0.6700, 0.4851, 0.2825)  1 S 1.49
O (0.6660, 0.7571, 0.3205)  1 S 1.49
O (0.3340, 0.2571, 0.3205)  1 S 1.49
O (0.4293, 0.6098, 0.3391)  1 S 1.50
O (0.5707, 0.1098, 0.3391)  1 S 1.50
O (0.1453, 0.6717, 0.4189)  1 S 1.50
O (0.8547, 0.1717, 0.4189)  1 S 1.50
O (0.0497, 0.3628, 0.4394)  1 S 1.46
O (0.9503, 0.8628, 0.4394)  1 S 1.46
O (0.6373, 0.5723, 0.4687)  1 S 1.46
O (0.3627, 0.0723, 0.4687)  1 S 1.46
O (0.3627, 0.4277, 0.5313)  1 S 1.46
O (0.6373, 0.9277, 0.5313)  1 S 1.46
O (0.0497, 0.1372, 0.5606)  1 S 1.46
O (0.9503, 0.6372, 0.5606)  1 S 1.46
O (0.1453, 0.8283, 0.5811)  1 S 1.50
O (0.8547, 0.3283, 0.5811)  1 S 1.50
O (0.4293, 0.8902, 0.6609)  1 S 1.50
O (0.5707, 0.3902, 0.6609)  1 S 1.50
O (0.3340, 0.2429, 0.6795)  1 S 1.49
O (0.6660, 0.7429, 0.6795)  1 S 1.49
O (0.3300, 0.5149, 0.7175)  1 S 1.49
O (0.6700, 0.0149, 0.7175)  1 S 1.49
O (0.1700, 0.0149, 0.7825)  1 S 1.49
O (0.8300, 0.5149, 0.7825)  1 S 1.49
O (0.1660, 0.7429, 0.8205)  1 S 1.49
O (0.8340, 0.2429, 0.8205)  1 S 1.49
O (0.0707, 0.3902, 0.8391)  1 S 1.50
O (0.9293, 0.8902, 0.8391)  1 S 1.50
O (0.3547, 0.3283, 0.9189)  1 S 1.50
O (0.6453, 0.8283, 0.9189)  1 S 1.50
O (0.4503, 0.6372, 0.9394)  1 S 1.46
O (0.5497, 0.1372, 0.9394)  1 S 1.46
O (0.1373, 0.9277, 0.9687)  1 S 1.46
O (0.8627, 0.4277, 0.9687)  1 S 1.46



2.
Material: MgMn2P2H4O10
Method: DFT, PBE+U
State: optimized geometry

Values from the calculation:
MP2020-corrected energy   -7.158 eV/atom
Energy relative to the lowest polymorph listed for this composition   0.0 kJ per mole of atoms
Energy of formation from the pure elements   -2221 meV per atom
ρ   2.87 g/cm3

abc: 5.3076 5.5229 7.8226
angles: 102.56 106.89 98.51
With the nearest neighbours (Å) after each atom.
Positions (direct):
Mg (0.0911, 0.3516, 0.8799)  6 O 2.08-2.21
Mn (0.9845, 0.4484, 0.4592)  5 O 2.06-2.22
Mn (0.5128, 0.0145, 0.0048)  6 O 2.14-2.38
P (0.4135, 0.5814, 0.2438)  4 O 1.52-1.59
P (0.6058, 0.4632, 0.7718)  4 O 1.54-1.57
H (0.8657, 0.9088, 0.2861)  1 O 1.03
H (0.0631, 0.0944, 0.2114)  1 O 1.00
H (0.0481, 0.9355, 0.6503)  1 O 0.98
H (0.9071, 0.8657, 0.8032)  1 O 1.07
O (0.3134, 0.6994, 0.0769)  1 P 1.58
O (0.2793, 0.6507, 0.3895)  1 P 1.52
O (0.7158, 0.3326, 0.9284)  1 P 1.57
O (0.7686, 0.3877, 0.6406)  1 P 1.55
O (0.7263, 0.6667, 0.3314)  1 P 1.55, 1 H 1.59
O (0.3197, 0.2850, 0.1419)  1 P 1.59
O (0.2949, 0.3739, 0.6893)  1 P 1.54
O (0.6825, 0.7588, 0.8474)  1 H 1.42, 1 P 1.56
O (0.0799, 0.9661, 0.7835)  2 H 0.98-1.07
O (0.9028, 0.0780, 0.2534)  2 H 1.00-1.03



3.
Material: K3MoIO13
Method: DFT, PBE+U
State: optimized geometry

Values from the calculation:
MP2020-corrected energy   -5.302 eV/atom
Energy of formation from the pure elements   -856 meV per atom
ρ   3.05 g/cm3

abc: 7.9556 8.0434 10.0771
angles: 109.68 91.46 99.33
With the nearest neighbours (Å) after each atom.
Positions (direct):
K (0.5659, 0.7544, 0.0335)  5 O 2.62-2.80
K (0.4341, 0.2456, 0.9665)  5 O 2.62-2.80
K (0.5485, 0.2186, 0.3662)  5 O 2.70-3.02
K (0.4515, 0.7814, 0.6338)  5 O 2.70-3.02
K (0.0653, 0.6654, 0.3198)  7 O 2.83-3.16
K (0.9347, 0.3346, 0.6802)  7 O 2.83-3.16
Mo (0.8371, 0.1367, 0.0016)  3 O 1.77-1.93
Mo (0.1629, 0.8633, 0.9984)  3 O 1.77-1.93
I (0.9025, 0.8235, 0.7181)  5 O 1.82-2.02
I (0.0975, 0.1765, 0.2819)  5 O 1.82-2.02
O (0.7752, 0.2751, 0.9120)  1 Mo 1.77
O (0.2248, 0.7249, 0.0880)  1 Mo 1.77
O (0.6632, 0.1166, 0.1058)  1 Mo 1.78
O (0.3368, 0.8834, 0.8942)  1 Mo 1.78
O (0.9877, 0.7016, 0.8577)  1 Mo 1.93, 1 I 2.12
O (0.0123, 0.2984, 0.1423)  1 Mo 1.93, 1 I 2.12
O (0.7337, 0.8929, 0.8633)  1 Mo 2.01, 1 I 2.01
O (0.2663, 0.1071, 0.1367)  1 Mo 2.01, 1 I 2.01
O (0.0376, 0.0347, 0.8762)  1 I 2.02, 1 Mo 2.16
O (0.9624, 0.9653, 0.1238)  1 I 2.02, 1 Mo 2.16
O (0.8188, 0.9644, 0.6311)  1 I 1.84
O (0.1812, 0.0356, 0.3689)  1 I 1.84
O (0.9113, 0.2236, 0.3805)  1 I 1.82
O (0.0887, 0.7764, 0.6195)  1 I 1.82
O (0.7544, 0.6113, 0.6277)  1 I 1.84
O (0.2456, 0.3887, 0.3723)  1 I 1.84
O (0.6888, 0.5535, 0.3034)  1 O 1.25
O (0.3112, 0.4465, 0.6966)  1 O 1.25
O (0.7294, 0.8353, 0.3711)  1 O 1.24
O (0.2706, 0.1647, 0.6289)  1 O 1.24
O (0.8315, 0.5859, 0.0396)  2 O 2.36-2.58
O (0.1685, 0.4141, 0.9604)  2 O 2.36-2.58
O (0.4252, 0.1650, 0.6508)  1 O 1.24
O (0.5748, 0.8350, 0.3492)  1 O 1.24
O (0.4663, 0.4595, 0.7293)  1 O 1.25
O (0.5337, 0.5405, 0.2707)  1 O 1.25



4.
Material: Ho2MgAg2W4O16
Method: DFT, PBE+U
State: optimized geometry

Values from the calculation:
MP2020-corrected energy   -8.259 eV/atom
Energy relative to the lowest polymorph listed for this composition   0.1 kJ per mole of atoms
Energy of formation from the pure elements   -2362 meV per atom
ρ   7.74 g/cm3

abc: 7.3537 7.7104 7.7543
angles: 99.30 114.63 113.93
With the nearest neighbours (Å) after each atom.
Positions (direct):
Ho (0.0161, 0.7195, 0.2723)  6 O 2.23-2.49
Ho (0.0070, 0.2602, 0.7444)  6 O 2.25-2.34
Mg (0.4903, 0.1613, 0.4221)  4 O 1.98-2.21
Ag (0.5489, 0.7584, 0.6561)  2 O 2.17-2.26
Ag (0.4861, 0.4325, 0.2250)  3 O 2.21-2.29
W (0.0014, 0.2363, 0.2515)  3 O 1.80-1.90
W (0.0057, 0.7424, 0.7674)  3 O 1.82-1.88
W (0.5127, 0.8481, 0.1454)  4 O 1.87-2.08
W (0.4949, 0.1380, 0.8590)  2 O 1.82-1.97
O (0.8051, 0.3712, 0.1324)  2 W 2.08-2.11, 1 Ho 2.25
O (0.2061, 0.6142, 0.8809)  2 W 2.05-2.07, 1 Ho 2.29
O (0.2077, 0.8556, 0.6335)  2 W 2.05-2.14
O (0.8010, 0.1309, 0.3832)  2 W 2.08-2.10
O (0.6913, 0.7248, 0.1983)  1 W 1.87
O (0.3547, 0.2887, 0.8241)  1 W 1.82
O (0.3677, 0.8451, 0.3035)  1 W 1.93, 1 Mg 2.10
O (0.6576, 0.1811, 0.7077)  1 W 1.97, 1 Mg 1.98
O (0.9156, 0.7073, 0.9514)  1 W 1.82
O (0.1012, 0.2894, 0.0684)  1 W 1.88
O (0.1522, 0.0883, 0.3326)  1 W 1.90, 1 Mg 2.07
O (0.9082, 0.9239, 0.6981)  1 W 1.87
O (0.6735, 0.9859, 0.9964)  3 W 2.09-2.17
O (0.3445, 0.0068, 0.0221)  3 W 2.13-2.18
O (0.7711, 0.4877, 0.5413)  1 W 1.88
O (0.2016, 0.4792, 0.4740)  1 W 1.80